Density functional theory data (r2SCAN) for an optimized crystal structure of ErGeRh2.

Cell lengths 5.5153, 5.5153, 15.4032 Å; angles 90.00, 90.00, 120.00 degrees
Space group P6_3/mmc (No. 194)
Symmetry-distinct sites (fractional):
1 Er 0.3333 0.6667 0.0381 (multiplicity 4)
2 Er 0.3333 0.6667 0.2500 (multiplicity 2)
3 Ge 0.0000 0.0000 0.0000 (multiplicity 2)
4 Ge 0.0000 0.0000 0.2500 (multiplicity 2)
5 Ge 0.3333 0.6667 0.7500 (multiplicity 2)
6 Rh 0.1680 0.3360 0.6273 (multiplicity 12)

Energy of formation ... -21.753 kcal/mol of atoms
Total energy ... -24.961 eV per atom
Volume ... 405.8 Å³ per cell
Theoretical density ... 10.9 g/cm³

---

Density functional theory data (r2SCAN) for an optimized crystal structure of BaTiO3.

Cell lengths 5.7457, 5.7457, 13.9993 Å; angles 90.00, 90.00, 120.00 degrees
Space group P6_3/mmc (No. 194)
Symmetry-distinct sites (fractional):
1 Ba 0.0000 0.0000 0.2500 (multiplicity 2)
2 Ba 0.3333 0.6667 0.0967 (multiplicity 4)
3 Ti 0.0000 0.0000 0.0000 (multiplicity 2)
4 Ti 0.3333 0.6667 0.6537 (multiplicity 4)
5 O 0.0362 0.5181 0.7500 (multiplicity 6)
6 O 0.1653 0.3305 0.5805 (multiplicity 12)

Energy of formation ... -77.542 kcal/mol of atoms
Total energy ... -14.834 eV per atom
Volume ... 400.2 Å³ per cell
Theoretical density ... 5.8 g/cm³

---

Density functional theory data (r2SCAN) for an optimized crystal structure of Sr3Te4O11.

Cell lengths 7.533, 9.272, 9.587 Å; angles 98.00, 109.72, 102.09 degrees
Space group P1 (No. 1)
Symmetry-distinct sites (fractional):
1 Sr 0.000 0.000 0.000 (multiplicity 1)
2 Sr 0.013 0.487 0.501 (multiplicity 1)
3 Sr 0.397 0.429 0.266 (multiplicity 1)
4 Sr 0.410 0.917 0.767 (multiplicity 1)
5 Sr 0.569 0.040 0.205 (multiplicity 1)
6 Sr 0.842 0.878 0.561 (multiplicity 1)
7 Te 0.159 0.653 0.929 (multiplicity 1)
8 Te 0.203 0.148 0.425 (multiplicity 1)
9 Te 0.206 0.767 0.342 (multiplicity 1)
10 Te 0.251 0.264 0.838 (multiplicity 1)
11 Te 0.625 0.596 0.683 (multiplicity 1)
12 Te 0.687 0.705 0.108 (multiplicity 1)
13 Te 0.723 0.212 0.659 (multiplicity 1)
14 Te 0.785 0.321 0.084 (multiplicity 1)
15 O 0.000 0.816 0.192 (multiplicity 1)
16 O 0.018 0.322 0.720 (multiplicity 1)
17 O 0.101 0.776 0.492 (multiplicity 1)
18 O 0.130 0.557 0.275 (multiplicity 1)
19 O 0.147 0.056 0.756 (multiplicity 1)
20 O 0.188 0.266 0.009 (multiplicity 1)
21 O 0.222 0.650 0.758 (multiplicity 1)
22 O 0.263 0.861 0.011 (multiplicity 1)
23 O 0.280 0.358 0.492 (multiplicity 1)
24 O 0.309 0.140 0.274 (multiplicity 1)
25 O 0.392 0.595 0.048 (multiplicity 1)
26 O 0.410 0.099 0.574 (multiplicity 1)
27 O 0.503 0.728 0.582 (multiplicity 1)
28 O 0.540 0.174 0.977 (multiplicity 1)
29 O 0.656 0.855 0.999 (multiplicity 1)
30 O 0.675 0.807 0.284 (multiplicity 1)
31 O 0.697 0.518 0.526 (multiplicity 1)
32 O 0.712 0.397 0.241 (multiplicity 1)
33 O 0.736 0.111 0.483 (multiplicity 1)
34 O 0.754 0.062 0.767 (multiplicity 1)
35 O 0.870 0.743 0.789 (multiplicity 1)
36 O 0.907 0.188 0.184 (multiplicity 1)

Energy of formation ... -45.911 kcal/mol of atoms
Total energy ... -13.813 eV per atom
Volume ... 600.1 Å³ per cell
Theoretical density ... 5.3 g/cm³

---

Density functional theory data (r2SCAN) for an optimized crystal structure of ThCrB4.

Cell lengths 6.061, 11.742, 3.621 Å; angles 90.00, 90.00, 90.00 degrees
Space group Pbam (No. 55)
Symmetry-distinct sites (fractional):
1 Th 0.124 0.151 0.000 (multiplicity 4)
2 Cr 0.129 0.414 0.000 (multiplicity 4)
3 B 0.025 0.687 0.500 (multiplicity 4)
4 B 0.110 0.544 0.500 (multiplicity 4)
5 B 0.143 0.967 0.500 (multiplicity 4)
6 B 0.223 0.817 0.500 (multiplicity 4)

Energy of formation ... -13.028 kcal/mol of atoms
Total energy ... -20.221 eV per atom
Volume ... 257.7 Å³ per cell
Theoretical density ... 8.4 g/cm³

---

Density functional theory data (r2SCAN) for an optimized crystal structure of Al2Ni3.

Cell lengths 2.869, 2.869, 13.902 Å; angles 90.00, 90.00, 90.00 degrees
Space group P4/mmm (No. 123)
Symmetry-distinct sites (fractional):
1 Al 0.000 0.000 0.102 (multiplicity 2)
2 Al 0.000 0.000 0.309 (multiplicity 2)
3 Ni 0.000 0.000 0.500 (multiplicity 1)
4 Ni 0.500 0.500 0.000 (multiplicity 1)
5 Ni 0.500 0.500 0.205 (multiplicity 2)
6 Ni 0.500 0.500 0.404 (multiplicity 2)

Energy of formation ... -12.184 kcal/mol of atoms
Total energy ... -10.410 eV per atom
Volume ... 114.4 Å³ per cell
Theoretical density ... 6.7 g/cm³

---

Density functional theory data (r2SCAN) for an optimized crystal structure of Rb3HoCl6.

Cell lengths 25.741, 7.925, 12.784 Å; angles 90.00, 99.42, 90.00 degrees
Space group C2/c (No. 15)
Symmetry-distinct sites (fractional):
1 Rb 0.052 0.243 0.437 (multiplicity 8)
2 Rb 0.154 0.317 0.145 (multiplicity 8)
3 Rb 0.162 0.185 0.802 (multiplicity 8)
4 Ho 0.000 0.207 0.750 (multiplicity 4)
5 Ho 0.250 0.250 0.500 (multiplicity 4)
6 Cl 0.057 0.214 0.937 (multiplicity 8)
7 Cl 0.061 0.040 0.202 (multiplicity 8)
8 Cl 0.061 0.432 0.680 (multiplicity 8)
9 Cl 0.171 0.450 0.422 (multiplicity 8)
10 Cl 0.177 0.036 0.534 (multiplicity 8)
11 Cl 0.250 0.114 0.312 (multiplicity 8)

Energy of formation ... -54.987 kcal/mol of atoms
Total energy ... -13.543 eV per atom
Volume ... 2572.7 Å³ per cell
Theoretical density ... 3.3 g/cm³

---

Density functional theory data (r2SCAN) for an optimized crystal structure of HoZrSb.

Cell lengths 4.261, 4.261, 16.558 Å; angles 90.00, 90.00, 90.00 degrees
Space group I4/mmm (No. 139)
Symmetry-distinct sites (fractional):
1 Ho 0.000 0.000 0.176 (multiplicity 4)
2 Zr 0.000 0.500 0.000 (multiplicity 4)
3 Sb 0.000 0.000 0.366 (multiplicity 4)

Energy of formation ... -20.971 kcal/mol of atoms
Total energy ... -28.022 eV per atom
Volume ... 300.7 Å³ per cell
Theoretical density ... 8.3 g/cm³

---

Density functional theory data (r2SCAN) for an optimized crystal structure of Zr2N.

Cell lengths 5.413, 5.413, 3.308 Å; angles 90.00, 90.00, 90.00 degrees
Space group P4_2/mnm (No. 136)
Symmetry-distinct sites (fractional):
1 Zr 0.204 0.204 0.000 (multiplicity 4)
2 N 0.000 0.000 0.500 (multiplicity 2)

Energy of formation ... -32.532 kcal/mol of atoms
Total energy ... -19.620 eV per atom
Volume ... 96.9 Å³ per cell
Theoretical density ... 6.7 g/cm³

---

Density functional theory data (r2SCAN) for an optimized crystal structure of MgSnRh2.

Cell lengths 6.290, 6.290, 6.290 Å; angles 90.00, 90.00, 90.00 degrees
Space group Fm-3m (No. 225)
Symmetry-distinct sites (fractional):
1 Mg 0.000 0.000 0.000 (multiplicity 4)
2 Sn 0.000 0.000 0.500 (multiplicity 4)
3 Rh 0.250 0.250 0.250 (multiplicity 8)

Energy of formation ... -15.290 kcal/mol of atoms
Total energy ... -19.960 eV per atom
Volume ... 248.9 Å³ per cell
Theoretical density ... 9.3 g/cm³

---

Density functional theory data (r2SCAN) for an optimized crystal structure of DyGa2Ni.

Cell lengths 4.064, 10.104, 6.608 Å; angles 90.00, 90.00, 90.00 degrees
Space group Cmcm (No. 63)
Symmetry-distinct sites (fractional):
1 Dy 0.000 0.069 0.250 (multiplicity 4)
2 Ga 0.000 0.351 0.054 (multiplicity 8)
3 Ni 0.000 0.211 0.750 (multiplicity 4)

Energy of formation ... -16.172 kcal/mol of atoms
Total energy ... -17.414 eV per atom
Volume ... 271.3 Å³ per cell
Theoretical density ... 8.8 g/cm³

---

Density functional theory data (r2SCAN) for an optimized crystal structure of KMnF4.

Cell lengths 5.733, 7.646, 7.702 Å; angles 90.00, 90.63, 90.00 degrees
Space group P2_1/c (No. 14)
Symmetry-distinct sites (fractional):
1 K 0.014 0.193 0.253 (multiplicity 4)
2 Mn 0.500 0.000 0.000 (multiplicity 2)
3 Mn 0.500 0.000 0.500 (multiplicity 2)
4 F 0.207 0.564 0.565 (multiplicity 4)
5 F 0.209 0.577 0.944 (multiplicity 4)
6 F 0.381 0.232 0.499 (multiplicity 4)
7 F 0.405 0.520 0.265 (multiplicity 4)

Energy of formation ... -69.204 kcal/mol of atoms
Total energy ... -8.535 eV per atom
Volume ... 337.6 Å³ per cell
Theoretical density ... 3.3 g/cm³

---

Density functional theory data (r2SCAN) for an optimized crystal structure of ErTiSi.

Cell lengths 3.990, 3.990, 7.567 Å; angles 90.00, 90.00, 90.00 degrees
Space group P4/nmm (No. 129, origin choice 2)
Symmetry-distinct sites (fractional):
1 Er 0.250 0.250 0.152 (multiplicity 2)
2 Ti 0.250 0.750 0.500 (multiplicity 2)
3 Si 0.250 0.250 0.741 (multiplicity 2)

Energy of formation ... -16.995 kcal/mol of atoms
Total energy ... -19.283 eV per atom
Volume ... 120.5 Å³ per cell
Theoretical density ... 6.7 g/cm³

---

Density functional theory data (r2SCAN) for an optimized crystal structure of Pr3Ho.

Cell lengths 5.208, 5.208, 10.323 Å; angles 90.00, 90.00, 90.00 degrees
Space group I4/mmm (No. 139)
Symmetry-distinct sites (fractional):
1 Pr 0.000 0.000 0.000 (multiplicity 2)
2 Pr 0.000 0.500 0.250 (multiplicity 4)
3 Ho 0.000 0.000 0.500 (multiplicity 2)

Energy of formation ... 0.898 kcal/mol of atoms
Total energy ... -30.234 eV per atom
Volume ... 280.0 Å³ per cell
Energy above the most stable polymorph in this dataset ... 0.00 kJ per mole of atoms
Theoretical density ... 7.0 g/cm³

---

Density functional theory data (r2SCAN) for an optimized crystal structure of Ta4BTe8.

Cell lengths 11.598, 16.916, 3.625 Å; angles 90.00, 90.00, 90.00 degrees
Space group Pbam (No. 55)
Symmetry-distinct sites (fractional):
1 Ta 0.074 0.071 0.000 (multiplicity 4)
2 Ta 0.156 0.924 0.500 (multiplicity 4)
3 B 0.000 0.000 0.500 (multiplicity 2)
4 Te 0.087 0.809 0.000 (multiplicity 4)
5 Te 0.130 0.328 0.500 (multiplicity 4)
6 Te 0.202 0.504 0.000 (multiplicity 4)
7 Te 0.204 0.171 0.500 (multiplicity 4)

Energy of formation ... -10.860 kcal/mol of atoms
Total energy ... -31.629 eV per atom
Volume ... 711.2 Å³ per cell
Theoretical density ... 8.2 g/cm³

---

Density functional theory data (r2SCAN) for an optimized crystal structure of Sm5Pb3.

Cell lengths 9.2268, 9.2268, 6.8151 Å; angles 90.00, 90.00, 120.00 degrees
Space group P6_3/mcm (No. 193)
Symmetry-distinct sites (fractional):
1 Sm 0.0000 0.2389 0.2500 (multiplicity 6)
2 Sm 0.3333 0.6667 0.0000 (multiplicity 4)
3 Pb 0.0000 0.3938 0.7500 (multiplicity 6)

Energy of formation ... -16.764 kcal/mol of atoms
Total energy ... -40.417 eV per atom
Volume ... 502.5 Å³ per cell
Theoretical density ... 9.1 g/cm³

---

Density functional theory data (r2SCAN) for an optimized crystal structure of TbNiC2.

Cell lengths 3.622, 4.484, 5.994 Å; angles 90.00, 90.00, 90.00 degrees
Space group Amm2 (No. 38)
Symmetry-distinct sites (fractional):
1 Tb 0.000 0.000 0.000 (multiplicity 2)
2 Ni 0.500 0.000 0.610 (multiplicity 2)
3 C 0.500 0.153 0.300 (multiplicity 4)

Energy of formation ... -10.303 kcal/mol of atoms
Total energy ... -16.222 eV per atom
Volume ... 97.3 Å³ per cell
Theoretical density ... 8.2 g/cm³

---

Density functional theory data (r2SCAN) for an optimized crystal structure of CaRhO3.

Cell lengths 3.113, 9.802, 7.298 Å; angles 90.00, 90.00, 90.00 degrees
Space group Cmcm (No. 63)
Symmetry-distinct sites (fractional):
1 Ca 0.000 0.250 0.250 (multiplicity 4)
2 Rh 0.000 0.000 0.000 (multiplicity 4)
3 O 0.000 0.076 0.750 (multiplicity 4)
4 O 0.000 0.373 0.552 (multiplicity 8)

Energy of formation ... -44.552 kcal/mol of atoms
Total energy ... -11.750 eV per atom
Volume ... 222.7 Å³ per cell
Theoretical density ... 5.7 g/cm³